Record 1
# MgNiAsO5

MgNiAsO5 after structural relaxation (PBE with a Hubbard U, the Materials Project).

```
MgNiAsO5
1.0
-1.2724 5.2782 -2.0538
-6.1308 0.1932 4.2948
4.4497 3.4832 6.1953
Mg Ni As O
4 4 4 20
Direct
0.0271 0.8337 0.6793
0.4729 0.1663 0.1793
0.9729 0.3337 0.8207
0.5271 0.6663 0.3207
0.2568 0.7558 0.9985
0.2432 0.2442 0.4985
0.7432 0.2558 0.5015
0.7568 0.7442 0.0015
0.4779 0.1111 0.8206
0.0221 0.8889 0.3206
0.5221 0.6111 0.6794
0.9779 0.3889 0.1794
0.5142 0.9213 0.9340
0.9858 0.0787 0.4340
0.4858 0.4213 0.5660
0.0142 0.5787 0.0660
0.4056 0.2684 0.9571
0.0944 0.7316 0.4571
0.5944 0.7684 0.5429
0.9056 0.2316 0.0429
0.7343 0.1469 0.7223
0.7657 0.8531 0.2223
0.2657 0.6469 0.7777
0.2343 0.3531 0.2777
0.2412 0.0903 0.6971
0.2588 0.9097 0.1971
0.7588 0.5903 0.8029
0.7412 0.4097 0.3029
0.9993 0.8727 0.9163
0.5007 0.1273 0.4163
0.0007 0.3727 0.5837
0.4993 0.6273 0.0837
```

Results
* SG: P2_12_12_1
* calculated formation energy: -1762 meV per atom


Record 2
# MgVAsO5

MgVAsO5 after structural relaxation (PBE with a Hubbard U, the Materials Project).

```
MgVAsO5
1.0
-5.6100 0.0469 -2.7384
2.5746 -5.6122 -5.3706
-2.5893 -6.1628 5.1989
Mg V As O
4 4 4 20
Direct
0.1160 0.8454 0.6813
0.3840 0.1546 0.1813
0.8840 0.3454 0.8187
0.6160 0.6546 0.3187
0.2626 0.7580 0.0064
0.2374 0.2420 0.5064
0.7374 0.2580 0.4936
0.7626 0.7420 0.9936
0.4840 0.0904 0.8194
0.0160 0.9096 0.3194
0.5160 0.5904 0.6806
0.9840 0.4096 0.1806
0.5159 0.9020 0.9112
0.9841 0.0980 0.4112
0.4841 0.4020 0.5888
0.0159 0.5980 0.0888
0.4183 0.2270 0.9616
0.0817 0.7730 0.4616
0.5817 0.7270 0.5384
0.9183 0.2730 0.0384
0.7154 0.1482 0.7242
0.7846 0.8518 0.2242
0.2846 0.6482 0.7758
0.2154 0.3518 0.2758
0.2774 0.0661 0.6830
0.2226 0.9339 0.1830
0.7226 0.5661 0.8170
0.7774 0.4339 0.3170
0.0036 0.8462 0.8960
0.4964 0.1538 0.3960
0.9964 0.3462 0.6040
0.5036 0.6538 0.1040
```

Results
* SG: P2_12_12_1
* calculated formation energy: -2302 meV per atom


Record 3
# MgV4As2O13

MgV4As2O13 after structural relaxation (PBE with a Hubbard U, the Materials Project).

```
MgV4As2O13
1.0
-1.8225 -3.9237 -3.2280
4.3213 -2.8615 -0.1831
-3.0730 -5.9282 6.2527
Mg V As O
1 4 2 13
Direct
0.7462 0.5662 0.5417
0.9675 0.1158 0.3454
0.6004 0.7384 0.2753
0.7306 0.9891 0.6939
0.4392 0.4973 0.9332
0.2277 0.4192 0.6045
0.0028 0.0360 0.9957
0.8819 0.4695 0.3165
0.2690 0.9394 0.3114
0.7132 0.9333 0.4640
0.5805 0.6876 0.7567
0.5450 0.5889 0.0837
0.3939 0.2535 0.7345
0.7833 0.1661 0.8840
0.1143 0.7251 0.9434
0.8204 0.0011 0.1756
0.9917 0.2351 0.5697
0.0524 0.7121 0.6394
0.4526 0.4621 0.4539
0.2225 0.2192 0.0279
```

Results
* distance to the lowest polymorph of the same formula: 91 meV/atom
* SG: P1
* calculated formation energy: -2158 meV per atom


Record 4
# MgV4As2O13

MgV4As2O13 after structural relaxation (PBE with a Hubbard U, the Materials Project).

```
MgV4As2O13
1.0
5.2236 -0.1008 1.1179
0.7005 5.1120 0.4941
0.1162 0.8549 10.2059
Mg V As O
1 4 2 13
Direct
0.9886 0.5565 0.8473
0.9692 0.1200 0.3482
0.5814 0.7366 0.2900
0.7105 0.9045 0.6355
0.4588 0.5432 0.9829
0.2175 0.3566 0.5596
0.9915 0.0629 0.0191
0.8698 0.4445 0.2982
0.3155 0.9866 0.3062
0.7336 0.8737 0.4453
0.6428 0.7330 0.8187
0.5392 0.6479 0.1256
0.4100 0.1708 0.6619
0.7659 0.2480 0.9361
0.1174 0.7861 0.9505
0.8750 0.9815 0.1899
0.9855 0.1636 0.5412
0.0651 0.6065 0.6477
0.3642 0.4625 0.3996
0.2213 0.2828 0.9754
```

Results
* distance to the lowest polymorph of the same formula: 69 meV/atom
* SG: P1
* calculated formation energy: -2180 meV per atom


Record 5
# MgV4As2O13

MgV4As2O13 after structural relaxation (PBE with a Hubbard U, the Materials Project).

```
MgV4As2O13
1.0
-3.3476 -1.5824 3.4854
-3.0106 -3.2850 -2.8380
4.7293 -6.9017 3.5431
Mg V As O
1 4 2 13
Direct
0.3577 0.2850 0.2128
0.9025 0.1572 0.3726
0.6033 0.7262 0.2903
0.7427 0.9535 0.6853
0.4560 0.4773 0.9162
0.2386 0.4296 0.5827
0.9932 0.0216 0.0032
0.9456 0.4572 0.2928
0.2526 0.9726 0.3128
0.7085 0.9215 0.4734
0.6006 0.7386 0.7862
0.5335 0.5479 0.1105
0.4254 0.2831 0.7128
0.8054 0.1636 0.8721
0.0899 0.6997 0.9560
0.7710 0.0350 0.1788
0.9772 0.2666 0.5713
0.1195 0.7466 0.6396
0.4611 0.4183 0.4130
0.2509 0.1791 0.0180
```

Results
* distance to the lowest polymorph of the same formula: 0 meV/atom
* SG: P1
* calculated formation energy: -2249 meV per atom


Record 6
# MgV4As2O13

MgV4As2O13 after structural relaxation (PBE with a Hubbard U, the Materials Project).

```
MgV4As2O13
1.0
-0.3306 1.6547 5.1005
1.8775 -4.1966 2.4184
7.9964 3.8874 0.4505
Mg V As O
1 4 2 13
Direct
0.1930 0.5571 0.1892
0.9351 0.1324 0.3608
0.5933 0.7337 0.2924
0.7495 0.9664 0.6787
0.4773 0.4813 0.9079
0.2281 0.4345 0.5793
0.9962 0.0526 0.0062
0.8960 0.4767 0.3093
0.2268 0.9244 0.3019
0.6999 0.9380 0.4683
0.5995 0.7455 0.7771
0.5517 0.5738 0.1010
0.4344 0.2891 0.7051
0.8068 0.1731 0.8686
0.1248 0.7309 0.9771
0.7905 0.0355 0.1757
0.9995 0.2349 0.5663
0.0925 0.7343 0.6552
0.3946 0.4474 0.4021
0.2208 0.2435 0.0283
```

Results
* distance to the lowest polymorph of the same formula: 25 meV/atom
* SG: P1
* calculated formation energy: -2224 meV per atom


Record 7
# MgVAs2O7

MgVAs2O7 after structural relaxation (PBE with a Hubbard U, the Materials Project).

```
MgVAs2O7
1.0
8.2323 0.0000 0.0000
0.0000 7.8437 0.0000
0.0000 5.6534 9.2280
Mg V As O
4 4 8 28
Direct
0.0810 0.7233 0.8783
0.5810 0.2767 0.6217
0.9190 0.2767 0.1217
0.4190 0.7233 0.3783
0.9516 0.1813 0.7030
0.4516 0.8187 0.7970
0.0484 0.8187 0.2970
0.5484 0.1813 0.2030
0.7807 0.5436 0.7647
0.2807 0.4564 0.7353
0.2193 0.4564 0.2353
0.7193 0.5436 0.2647
0.7222 0.9683 0.9656
0.2222 0.0317 0.5344
0.2778 0.0317 0.0344
0.7778 0.9683 0.4656
0.6872 0.2347 0.0742
0.1872 0.7653 0.4258
0.3128 0.7653 0.9258
0.8128 0.2347 0.5742
0.6020 0.6451 0.7802
0.1020 0.3549 0.7198
0.3980 0.3549 0.2198
0.8980 0.6451 0.2802
0.9186 0.5210 0.8902
0.4186 0.4790 0.6098
0.0814 0.4790 0.1098
0.5814 0.5210 0.3902
0.8459 0.6993 0.5857
0.3459 0.3007 0.9143
0.1541 0.3007 0.4143
0.6541 0.6993 0.0857
0.9099 0.9996 0.3217
0.4099 0.0004 0.1783
0.0901 0.0004 0.6783
0.5901 0.9996 0.8217
0.7467 0.3241 0.2677
0.2467 0.6759 0.2323
0.2533 0.6759 0.7323
0.7533 0.3241 0.7677
0.5905 0.9355 0.3853
0.0905 0.0645 0.1147
0.4095 0.0645 0.6147
0.9095 0.9355 0.8853
```

Results
* SG: P2_1/c
* calculated formation energy: -2128 meV per atom


Record 8
# Mg3V3As4O16

Mg3V3As4O16 after structural relaxation (PBE with a Hubbard U, the Materials Project).

```
Mg3V3As4O16
1.0
-0.2075 3.7265 3.6700
-8.5845 1.6346 -2.1451
-9.1894 -9.0252 8.6447
Mg V As O
6 6 8 32
Direct
0.5662 0.2988 0.2103
0.0662 0.7012 0.2897
0.4338 0.7012 0.7897
0.9338 0.2988 0.7103
0.5000 0.0000 0.5000
0.0000 0.0000 0.0000
0.4375 0.2360 0.6189
0.5625 0.7640 0.3811
0.9375 0.7640 0.8811
0.0625 0.2360 0.1189
0.0000 0.5000 0.5000
0.5000 0.5000 0.0000
0.9985 0.0485 0.3473
0.5177 0.3906 0.3969
0.0177 0.6094 0.1031
0.9823 0.3906 0.8969
0.0015 0.9515 0.6527
0.4823 0.6094 0.6031
0.5015 0.0485 0.8473
0.4985 0.9515 0.1527
0.4269 0.7972 0.2566
0.8928 0.7706 0.0042
0.3819 0.3687 0.3012
0.3817 0.1132 0.1775
0.6181 0.6313 0.6988
0.0731 0.7972 0.7566
0.8819 0.6313 0.1988
0.6930 0.6031 0.8936
0.6835 0.1004 0.9224
0.5731 0.2028 0.7434
0.1183 0.1132 0.6775
0.3070 0.3969 0.1064
0.3010 0.5620 0.4116
0.3165 0.8996 0.0776
0.6881 0.0016 0.6227
0.1881 0.9984 0.8773
0.8010 0.4380 0.0884
0.1181 0.3687 0.8012
0.1835 0.8996 0.5776
0.1930 0.3969 0.6064
0.8119 0.0016 0.1227
0.3119 0.9984 0.3773
0.1072 0.2294 0.9958
0.3928 0.2294 0.4958
0.6990 0.4380 0.5884
0.9269 0.2028 0.2434
0.6183 0.8868 0.8225
0.8165 0.1004 0.4224
0.6072 0.7706 0.5042
0.8070 0.6031 0.3936
0.1990 0.5620 0.9116
0.8817 0.8868 0.3225
```

Results
* SG: P2_1/c
* calculated formation energy: -2137 meV per atom


Record 9
# MgAsWO5

MgAsWO5 after structural relaxation (PBE with a Hubbard U, the Materials Project).

```
MgAsWO5
1.0
-5.9945 -0.5786 0.8481
-0.7846 -2.7732 -7.4378
1.2684 -8.6243 3.0817
Mg As W O
4 4 4 20
Direct
0.9890 0.6507 0.8721
0.5110 0.3493 0.3721
0.0110 0.1507 0.6279
0.4890 0.8493 0.1279
0.4350 0.3270 0.6944
0.0650 0.6730 0.1944
0.5650 0.8270 0.8056
0.9350 0.1730 0.3056
0.2704 0.7448 0.5228
0.2296 0.2552 0.0228
0.7296 0.2448 0.9772
0.7704 0.7552 0.4772
0.5226 0.5839 0.4635
0.9774 0.4161 0.9635
0.4774 0.0839 0.0365
0.0226 0.9161 0.5365
0.3287 0.2480 0.5330
0.1713 0.7520 0.0330
0.6713 0.7480 0.9670
0.8287 0.2520 0.4670
0.7266 0.1926 0.7755
0.7734 0.8074 0.2755
0.2734 0.6926 0.7245
0.2266 0.3074 0.2245
0.2289 0.2107 0.7957
0.2711 0.7893 0.2957
0.7711 0.7107 0.7043
0.7289 0.2893 0.2043
0.0170 0.5940 0.4719
0.4830 0.4060 0.9719
0.9830 0.0940 0.0281
0.5170 0.9060 0.5281
```

Results
* SG: P2_12_12_1
* calculated formation energy: -2101 meV per atom


Record 10
# Na3SmMn3As3O15

Na3SmMn3As3O15 after structural relaxation (PBE with a Hubbard U, the Materials Project).

```
Na3SmMn3As3O15
1.0
-10.5914 0.7473 3.7953
3.8399 -9.7727 -4.1099
1.8928 -1.6112 5.5995
Na Sm Mn As O
6 2 6 6 30
Direct
0.8399 0.7299 0.7500
0.8900 0.1601 0.7500
0.2701 0.1100 0.7500
0.1601 0.2701 0.2500
0.1100 0.8399 0.2500
0.7299 0.8900 0.2500
0.3333 0.6667 0.2500
0.6667 0.3333 0.7500
0.5000 0.5000 0.5000
0.0000 0.5000 0.5000
0.5000 0.0000 0.5000
0.5000 0.5000 0.0000
0.0000 0.5000 0.0000
0.5000 0.0000 0.0000
0.2138 0.3995 0.7500
0.1857 0.7862 0.7500
0.6005 0.8143 0.7500
0.7862 0.6005 0.2500
0.8143 0.2138 0.2500
0.3995 0.1857 0.2500
0.5243 0.6138 0.2500
0.0894 0.4757 0.2500
0.3862 0.9106 0.2500
0.4757 0.3862 0.7500
0.9106 0.5243 0.7500
0.6138 0.0894 0.7500
0.3083 0.4823 0.5177
0.1740 0.6917 0.5177
0.5177 0.8260 0.5177
0.6917 0.5177 0.0177
0.8260 0.3083 0.0177
0.4823 0.1740 0.0177
0.6917 0.5177 0.4823
0.8260 0.3083 0.4823
0.4823 0.1740 0.4823
0.3083 0.4823 0.9823
0.1740 0.6917 0.9823
0.5177 0.8260 0.9823
0.0732 0.4220 0.7500
0.3488 0.9268 0.7500
0.5780 0.6512 0.7500
0.9268 0.5780 0.2500
0.6512 0.0732 0.2500
0.4220 0.3488 0.2500
0.1500 0.2284 0.7500
0.0785 0.8500 0.7500
0.7716 0.9215 0.7500
0.8500 0.7716 0.2500
0.9215 0.1500 0.2500
0.2284 0.0785 0.2500
```

Results
* SG: P6_3/m
* calculated formation energy: -2199 meV per atom


Record 11
# Nd2MnAs2O

Nd2MnAs2O after structural relaxation (PBE with a Hubbard U, the Materials Project).

```
Nd2MnAs2O
1.0
-1.4216 1.0728 2.8328
-2.8726 -1.4702 -0.8848
4.4179 -12.9087 7.1055
Nd Mn As O
2 1 2 1
Direct
0.5000 0.5000 0.6368
0.5000 0.5000 0.3632
0.5000 0.5000 0.0000
0.5000 0.5000 0.1617
0.5000 0.5000 0.8383
0.5000 0.5000 0.5000
```

Results
* SG: P4/mmm
* calculated formation energy: -301 meV per atom


Record 12
# NdMnAsO

NdMnAsO after structural relaxation (PBE with a Hubbard U, the Materials Project).

```
NdMnAsO
1.0
-0.1702 -1.9899 3.6476
-2.0952 -3.1115 -1.7952
7.9028 -4.2094 -1.9277
Nd Mn As O
2 2 2 2
Direct
0.7500 0.7500 0.8762
0.2500 0.2500 0.1238
0.2500 0.7500 0.5000
0.7500 0.2500 0.5000
0.7500 0.7500 0.3186
0.2500 0.2500 0.6814
0.2500 0.7500 0.0000
0.7500 0.2500 0.0000
```

Results
* SG: P4/nmm
* calculated formation energy: -1863 meV per atom